Crystalline CeYIn2 at its relaxed geometry, computed with GGA-PBE.

a b c (Å): 5.402 5.402 5.402
angles (deg): 60.00 60.00 60.00
Element x y z (fractional)
Ce: 0.000 0.000 0.000
Y: 0.500 0.500 0.500
In: 0.750 0.750 0.750
In: 0.250 0.250 0.250

Calculated values
total DFT energy (no corrections) = -4.899 eV per atom
ΔE_f = -0.42 eV/atom